DFT (PBE+U) results for a geometry-optimized LiCo2O3 structure.

Lattice parameters (Å, degrees): 5.119 5.119 5.119 146.67 131.95 59.73
Fractional coordinates of all 6 atoms:
Li: 0.000 0.000 0.000
Co: 0.665 0.665 0.000
Co: 0.335 0.335 0.000
O: 0.500 0.000 0.500
O: 0.179 0.679 0.500
O: 0.821 0.321 0.500

## Properties
**Total energy after the MP2020 corrections**: -39.779 eV per cell
**Calculated formation energy**: -1.47 eV/atom

DFT (PBE+U) results for a geometry-optimized Mg3WO4 structure.

Lattice parameters (Å, degrees): 4.442 4.442 4.442 90.00 90.00 90.00
Fractional coordinates of all 8 atoms:
Mg: 0.000 0.500 0.500
Mg: 0.500 0.000 0.500
Mg: 0.500 0.500 0.000
W: 0.000 0.000 0.000
O: 0.500 0.000 0.000
O: 0.500 0.500 0.500
O: 0.000 0.000 0.500
O: 0.000 0.500 0.000

## Properties
**Total energy after the MP2020 corrections**: -54.729 eV per cell
**Calculated formation energy**: -2.15 eV/atom

Among the records above, which one has the lowest total energy after the MP2020 corrections?
Mg3WO4